(1)
Crystalline Be2CoSi at its relaxed geometry. Source: the Materials Project, functional PBE.

Lattice parameters (Å, degrees): 3.7651 3.7651 3.7651 60.00 60.00 60.00
Atoms (fractional coordinates):
Be: 0.2500 0.2500 0.2500
Be: 0.0000 0.0000 0.0000
Co: 0.7500 0.7500 0.7500
Si: 0.5000 0.5000 0.5000

- density (Mg/m³) = 4.6
- crystal system = cubic
- SG = F-43m, No. 216
- formation enthalpy at 0 K (kJ/mol of atoms) = -18.42
- magnetic moment (μB per cell) = 0.00

(2)
Crystalline BeCo2Si at its relaxed geometry. Source: the Materials Project, functional PBE.

Lattice parameters (Å, degrees): 2.7149 2.7149 5.2459 90.00 90.00 90.00
Atoms (fractional coordinates):
Be: 0.0000 0.0000 0.0000
Co: 0.5000 0.5000 0.2450
Co: 0.5000 0.5000 0.7550
Si: 0.0000 0.0000 0.5000

- density (Mg/m³) = 6.7
- crystal system = tetragonal
- SG = P4/mmm, No. 123
- formation enthalpy at 0 K (kJ/mol of atoms) = -48.28
- magnetic moment (μB per cell) = 0.02
- energy relative to the lowest polymorph listed for this composition (meV per atom) = 79

> Which formula does entry 2 have?

BeCo2Si

> Which of these has the lowest formation enthalpy at 0 K?

BeCo2Si

What did the first record say?
Crystalline Be2CoSi at its relaxed geometry. Source: the Materials Project, functional PBE.

Lattice parameters (Å, degrees): 3.7651 3.7651 3.7651 60.00 60.00 60.00
Atoms (fractional coordinates):
Be: 0.2500 0.2500 0.2500
Be: 0.0000 0.0000 0.0000
Co: 0.7500 0.7500 0.7500
Si: 0.5000 0.5000 0.5000

- density (Mg/m³) = 4.6
- crystal system = cubic
- SG = F-43m, No. 216
- formation enthalpy at 0 K (kJ/mol of atoms) = -18.42
- magnetic moment (μB per cell) = 0.00